# 1
The following is a PBE calculation of HoTeClO3 after structural relaxation, from the Materials Project.

Cell and atoms, written as POSCAR:
```
HoTeClO3
1.0
7.392 0.000 0.000
0.000 7.011 0.000
0.000 0.000 9.138
Ho Te Cl O
4 4 4 12
Direct
0.093 0.250 0.036
0.407 0.750 0.536
0.593 0.250 0.464
0.907 0.750 0.964
0.183 0.250 0.631
0.317 0.750 0.131
0.683 0.250 0.869
0.817 0.750 0.369
0.068 0.750 0.687
0.432 0.250 0.187
0.568 0.750 0.813
0.932 0.250 0.313
0.145 0.566 0.065
0.145 0.934 0.065
0.242 0.250 0.830
0.258 0.750 0.330
0.355 0.066 0.565
0.355 0.434 0.565
0.645 0.566 0.435
0.645 0.934 0.435
0.742 0.250 0.670
0.758 0.750 0.170
0.855 0.066 0.935
0.855 0.434 0.935
```

Values from the calculation:
**Energy of formation from the pure elements**: -2.5027 eV/atom
**Total energy**: -149.5 eV per cell
**M_tot**: 0.0 μB/cell

=====

# 2
The following is a PBE calculation of TiPRu after structural relaxation, from the Materials Project.

Cell and atoms, written as POSCAR:
```
TiPRu
1.0
6.267 0.000 0.000
-3.134 5.427 0.000
0.000 0.000 3.673
Ti P Ru
3 3 3
Direct
0.000 0.584 0.000
0.416 0.416 0.000
0.584 0.000 0.000
0.000 0.000 0.000
0.333 0.667 0.500
0.667 0.333 0.500
0.000 0.251 0.500
0.251 0.000 0.500
0.749 0.749 0.500
```

Values from the calculation:
**Energy of formation from the pure elements**: -1.0170 eV/atom
**Total energy**: -76.9 eV per cell

=====

# 3
The following is a PBE calculation of Na5Y3SnP6O24 after structural relaxation, from the Materials Project.

Cell and atoms, written as POSCAR:
```
Na5Y3SnP6O24
1.0
9.188 0.000 0.000
4.587 7.962 0.000
0.042 -0.002 23.390
Na Y Sn P O
15 9 3 18 72
Direct
0.000 0.000 0.000
0.000 0.012 0.501
0.022 0.311 0.086
0.022 0.679 0.586
0.322 0.345 0.671
0.322 0.355 0.172
0.351 0.012 0.260
0.627 0.373 0.259
0.632 0.009 0.756
0.645 0.678 0.842
0.653 0.046 0.086
0.653 0.313 0.585
0.655 0.678 0.348
0.987 0.374 0.757
0.988 0.650 0.259
0.000 0.009 0.656
0.321 0.337 0.519
0.322 0.344 0.331
0.322 0.352 0.020
0.644 0.682 0.690
0.651 0.679 0.187
0.987 0.012 0.361
0.990 0.009 0.859
0.997 0.003 0.152
0.322 0.351 0.827
0.653 0.678 0.984
0.653 0.681 0.487
0.010 0.647 0.425
0.019 0.355 0.923
0.285 0.712 0.256
0.286 0.024 0.759
0.332 0.031 0.422
0.332 0.639 0.922
0.362 0.678 0.585
0.363 0.971 0.085
0.615 0.042 0.923
0.624 0.355 0.425
0.658 0.384 0.087
0.658 0.970 0.588
0.685 0.307 0.757
0.689 0.014 0.254
0.942 0.390 0.588
0.943 0.679 0.086
0.991 0.308 0.254
0.997 0.705 0.756
0.017 0.206 0.198
0.025 0.777 0.700
0.089 0.544 0.369
0.105 0.380 0.868
0.115 0.378 0.582
0.115 0.518 0.081
0.117 0.560 0.478
0.121 0.333 0.977
0.150 0.327 0.260
0.155 0.523 0.765
0.177 0.011 0.419
0.178 0.058 0.705
0.178 0.814 0.916
0.179 0.790 0.202
0.183 0.832 0.590
0.184 0.997 0.088
0.201 0.825 0.308
0.202 0.997 0.811
0.300 0.190 0.766
0.305 0.534 0.261
0.309 0.558 0.975
0.311 0.144 0.473
0.345 0.518 0.581
0.349 0.147 0.081
0.357 0.106 0.366
0.360 0.527 0.868
0.449 0.702 0.532
0.456 0.856 0.034
0.462 0.897 0.141
0.463 0.692 0.251
0.468 0.650 0.639
0.468 0.876 0.753
0.496 0.651 0.926
0.496 0.857 0.429
0.504 0.129 0.868
0.508 0.150 0.583
0.508 0.354 0.082
0.509 0.316 0.765
0.513 0.174 0.260
0.521 0.378 0.369
0.534 0.144 0.977
0.537 0.335 0.478
0.627 0.865 0.926
0.636 0.479 0.143
0.636 0.894 0.644
0.637 0.518 0.429
0.668 0.857 0.250
0.669 0.481 0.752
0.683 0.478 0.035
0.684 0.852 0.537
0.756 0.201 0.701
0.766 0.040 0.198
0.790 0.021 0.916
0.800 0.200 0.420
0.803 0.218 0.807
0.806 0.986 0.304
0.822 0.209 0.088
0.822 0.981 0.591
0.824 0.480 0.536
0.824 0.706 0.035
0.834 0.487 0.250
0.834 0.660 0.430
0.840 0.682 0.752
0.842 0.519 0.927
0.867 0.490 0.644
0.869 0.655 0.142
0.953 0.216 0.592
0.953 0.842 0.088
0.963 0.220 0.304
0.965 0.824 0.806
0.990 0.823 0.420
0.998 0.201 0.917
```

Values from the calculation:
**Energy of formation from the pure elements**: -2.9454 eV/atom
**Total energy**: -838.9 eV per cell
**M_tot**: 0.0 μB/cell

=====

# 4
The following is a PBE calculation of Mg6TiC after structural relaxation, from the Materials Project.

Cell and atoms, written as POSCAR:
```
Mg6TiC
1.0
4.476 0.000 0.000
0.000 5.661 0.000
0.000 0.000 12.143
Mg Ti C
12 2 2
Direct
0.500 0.254 0.945
0.000 0.500 0.309
0.000 0.000 0.809
0.000 0.500 0.834
0.500 0.754 0.445
0.000 0.259 0.091
0.000 0.000 0.334
0.500 0.746 0.945
0.000 0.759 0.591
0.500 0.246 0.445
0.000 0.241 0.591
0.000 0.741 0.091
0.500 0.000 0.187
0.500 0.500 0.687
0.500 0.000 0.598
0.500 0.500 0.098
```

Values from the calculation:
**Energy of formation from the pure elements**: 0.5637 eV/atom
**ΔE to the lowest computed polymorph**: 0.386 eV per atom
**Total energy**: -44.4 eV per cell
**M_tot**: 3.5 μB/cell

=====

# 5
The following is a PBE calculation of Cs2SnH6O12 after structural relaxation, from the Materials Project.

Cell and atoms, written as POSCAR:
```
Cs2SnH6O12
1.0
7.863 0.000 0.000
-3.931 6.809 0.000
0.000 0.000 5.100
Cs Sn H O
2 1 6 12
Direct
0.333 0.667 0.379
0.667 0.333 0.621
0.000 0.000 0.500
0.012 0.728 0.000
0.272 0.284 0.000
0.284 0.012 0.000
0.716 0.988 0.000
0.728 0.716 0.000
0.988 0.272 0.000
0.061 0.711 0.822
0.084 0.258 0.729
0.174 0.916 0.729
0.258 0.174 0.271
0.289 0.350 0.822
0.350 0.061 0.178
0.650 0.939 0.822
0.711 0.650 0.178
0.742 0.826 0.729
0.826 0.084 0.271
0.916 0.742 0.271
0.939 0.289 0.178
```

Values from the calculation:
**Energy of formation from the pure elements**: -1.1467 eV/atom
**Total energy**: -101.4 eV per cell
**M_tot**: 0.0 μB/cell

=====

# 6
The following is a PBE calculation of Ni2B after structural relaxation, from the Materials Project.

Cell and atoms, written as POSCAR:
```
Ni2B
1.0
-2.484 2.484 2.128
2.484 -2.484 2.128
2.484 2.484 -2.128
Ni B
4 2
Direct
0.170 0.670 0.840
0.330 0.170 0.500
0.670 0.830 0.500
0.830 0.330 0.160
0.250 0.250 0.000
0.750 0.750 0.000
```

Values from the calculation:
**Energy of formation from the pure elements**: -0.2897 eV/atom
**Total energy**: -38.2 eV per cell

=====

# 7
The following is a PBE calculation of Fe3SbN after structural relaxation, from the Materials Project.

Cell and atoms, written as POSCAR:
```
Fe3SbN
1.0
-2.727 3.837 2.768
2.727 -3.837 2.768
2.727 3.837 -2.768
Fe Sb N
6 2 2
Direct
0.226 0.000 0.726
0.226 0.500 0.226
0.296 0.046 0.250
0.704 0.954 0.750
0.774 0.000 0.274
0.774 0.500 0.774
0.252 0.502 0.750
0.748 0.498 0.250
0.000 0.000 0.000
0.500 0.000 0.500
```

Values from the calculation:
**Energy of formation from the pure elements**: -0.0008 eV/atom
**Total energy**: -75.0 eV per cell
**M_tot**: 6.8 μB/cell

=====

# 8
The following is a PBE calculation of CsNdS2 after structural relaxation, from the Materials Project.

Cell and atoms, written as POSCAR:
```
CsNdS2
1.0
4.251 0.000 0.000
-2.126 3.682 0.000
0.000 0.000 16.146
Cs Nd S
2 2 4
Direct
0.333 0.667 0.250
0.667 0.333 0.750
0.000 0.000 0.000
0.000 0.000 0.500
0.333 0.667 0.594
0.333 0.667 0.906
0.667 0.333 0.094
0.667 0.333 0.406
```

Values from the calculation:
**Energy of formation from the pure elements**: -2.0471 eV/atom
**Total energy**: -42.2 eV per cell

=====

# 9
The following is a PBE calculation of Y3Si3O11 after structural relaxation, from the Materials Project.

Cell and atoms, written as POSCAR:
```
Y3Si3O11
1.0
7.431 0.000 0.000
0.000 11.401 0.000
-6.140 0.000 10.374
Y Si O
12 12 44
Direct
0.096 0.229 0.184
0.096 0.271 0.684
0.248 0.032 0.985
0.248 0.468 0.485
0.305 0.100 0.504
0.305 0.400 0.004
0.695 0.600 0.996
0.695 0.900 0.496
0.752 0.532 0.515
0.752 0.968 0.015
0.904 0.729 0.316
0.904 0.771 0.816
0.212 0.540 0.209
0.212 0.960 0.709
0.217 0.586 0.740
0.217 0.914 0.240
0.378 0.744 0.113
0.378 0.756 0.613
0.622 0.244 0.387
0.622 0.256 0.887
0.783 0.086 0.760
0.783 0.414 0.260
0.788 0.040 0.291
0.788 0.460 0.791
0.005 0.605 0.193
0.005 0.895 0.693
0.012 0.145 0.804
0.012 0.355 0.304
0.149 0.023 0.137
0.149 0.477 0.637
0.155 0.086 0.631
0.155 0.414 0.131
0.216 0.682 0.484
0.216 0.818 0.984
0.243 0.215 0.049
0.243 0.285 0.549
0.301 0.611 0.124
0.301 0.889 0.624
0.350 0.550 0.891
0.350 0.950 0.391
0.387 0.677 0.732
0.387 0.823 0.232
0.395 0.524 0.362
0.395 0.976 0.862
0.396 0.225 0.375
0.396 0.275 0.875
0.604 0.725 0.125
0.604 0.775 0.625
0.605 0.024 0.138
0.605 0.476 0.638
0.613 0.177 0.768
0.613 0.323 0.268
0.650 0.050 0.609
0.650 0.450 0.109
0.699 0.111 0.376
0.699 0.389 0.876
0.757 0.715 0.451
0.757 0.785 0.951
0.784 0.182 0.016
0.784 0.318 0.516
0.845 0.586 0.869
0.845 0.914 0.369
0.851 0.523 0.363
0.851 0.977 0.863
0.988 0.645 0.696
0.988 0.855 0.196
0.995 0.105 0.307
0.995 0.395 0.807
```

Values from the calculation:
**Energy of formation from the pure elements**: -3.4990 eV/atom
**Total energy**: -568.1 eV per cell
**M_tot**: 4.0 μB/cell

=====

# 10
The following is a PBE calculation of SbPO6 after structural relaxation, from the Materials Project.

Cell and atoms, written as POSCAR:
```
SbPO6
1.0
8.374 0.000 0.000
0.000 11.796 0.000
-0.155 0.000 5.114
Sb P O
4 4 24
Direct
0.052 0.169 0.262
0.052 0.331 0.762
0.948 0.669 0.238
0.948 0.831 0.738
0.200 0.589 0.774
0.200 0.911 0.274
0.800 0.089 0.726
0.800 0.411 0.226
0.087 0.675 0.590
0.087 0.825 0.090
0.119 0.588 0.051
0.119 0.912 0.551
0.162 0.032 0.150
0.162 0.468 0.650
0.170 0.214 0.578
0.170 0.286 0.078
0.368 0.626 0.775
0.368 0.874 0.275
0.386 0.020 0.717
0.386 0.480 0.217
0.614 0.520 0.783
0.614 0.980 0.283
0.632 0.126 0.725
0.632 0.374 0.225
0.830 0.714 0.922
0.830 0.786 0.422
0.838 0.532 0.350
0.838 0.968 0.850
0.881 0.088 0.449
0.881 0.412 0.949
0.913 0.175 0.910
0.913 0.325 0.410
```

Values from the calculation:
**Energy of formation from the pure elements**: -1.5270 eV/atom
**ΔE to the lowest computed polymorph**: 0.000 eV per atom
**Total energy**: -189.3 eV per cell
**M_tot**: 8.0 μB/cell

=====

# 11
The following is a PBE calculation of GdFe2SiC after structural relaxation, from the Materials Project.

Cell and atoms, written as POSCAR:
```
GdFe2SiC
1.0
1.886 -5.175 0.000
1.886 5.175 0.000
0.000 0.000 6.745
Gd Fe Si C
2 4 2 2
Direct
0.047 0.953 0.750
0.953 0.047 0.250
0.333 0.667 0.564
0.333 0.667 0.936
0.667 0.333 0.064
0.667 0.333 0.436
0.234 0.766 0.250
0.766 0.234 0.750
0.500 0.500 0.000
0.500 0.500 0.500
```

Values from the calculation:
**Energy of formation from the pure elements**: -0.4867 eV/atom
**Total energy**: -96.2 eV per cell
**M_tot**: 15.9 μB/cell

=====

# 12
The following is a PBE calculation of Rb2NaAuCl6 after structural relaxation, from the Materials Project.

Cell and atoms, written as POSCAR:
```
Rb2NaAuCl6
1.0
0.000 5.277 5.277
5.277 0.000 5.277
5.277 5.277 0.000
Rb Na Au Cl
2 1 1 6
Direct
0.250 0.250 0.250
0.750 0.750 0.750
0.000 0.000 0.000
0.500 0.500 0.500
0.261 0.261 0.739
0.261 0.739 0.261
0.261 0.739 0.739
0.739 0.261 0.261
0.739 0.261 0.739
0.739 0.739 0.261
```

Values from the calculation:
**Energy of formation from the pure elements**: -1.5510 eV/atom
**Total energy**: -29.5 eV per cell
**M_tot**: 1.9 μB/cell

=====

# 13
The following is a PBE calculation of Ho2Ge2Os after structural relaxation, from the Materials Project.

Cell and atoms, written as POSCAR:
```
Ho2Ge2Os
1.0
5.384 -2.149 0.000
5.384 2.149 0.000
-4.762 0.000 8.914
Ho Ge Os
4 4 2
Direct
0.004 0.004 0.175
0.184 0.184 0.615
0.816 0.816 0.385
0.996 0.996 0.825
0.358 0.358 0.938
0.487 0.487 0.625
0.513 0.513 0.375
0.642 0.642 0.062
0.270 0.270 0.132
0.730 0.730 0.868
```

Values from the calculation:
**Energy of formation from the pure elements**: -0.6965 eV/atom
**Total energy**: -66.2 eV per cell